DFT (PBE with a Hubbard U) results for an optimized crystal structure of Li4Ni3Sn3Sb2O16.

Computed properties:
The formation energy from the elements comes out at -187.6 kJ per mole of atoms.

Cell lengths 6.1195, 6.1195, 9.8148 Å; angles 89.89, 89.89, 60.41 degrees
Element x y z (fractional)
O1 0.6623 0.1671 0.4116
O2 0.1671 0.6623 0.4116
O3 0.5141 0.5141 0.1521
O4 0.8297 0.3338 0.9054
O5 0.0396 0.4819 0.6530
O6 0.4828 0.4828 0.6521
O7 0.4819 0.0396 0.6530
O8 0.5190 0.9614 0.1454
O9 0.1688 0.1688 0.4063
O10 0.3338 0.8297 0.9054
O11 0.0013 0.0013 0.6913
O12 0.6666 0.6666 0.3919
O13 0.9614 0.5190 0.1454
O14 0.8310 0.8310 0.9050
O15 0.3337 0.3337 0.8975
O16 0.9994 0.9994 0.2019
Sn1 0.8286 0.8286 0.2870
Sn2 0.6603 0.1678 0.7865
Sn3 0.1678 0.6603 0.7865
Ni1 0.3407 0.8261 0.2876
Ni2 0.1708 0.1708 0.7854
Ni3 0.8261 0.3407 0.2876
Li1 0.0113 0.0113 0.5021
Li2 0.3322 0.3322 0.1047
Li3 0.0180 0.0180 0.0204
Li4 0.6687 0.6687 0.5874
Sb1 0.6560 0.6560 0.0217
Sb2 0.3274 0.3274 0.5065

---

DFT (PBE with a Hubbard U) results for an optimized crystal structure of MgTi2Ni2O6.

Computed properties:
The calculation puts the relative energy among the computed polymorphs at 181 kJ/mol of formula units. The formation energy from the elements comes out at -213.0 kJ per mole of atoms.

Cell lengths 5.3063, 5.7691, 5.4650 Å; angles 121.76, 61.15, 117.07 degrees
Element x y z (fractional)
Ni1 0.1228 0.9460 0.2930
Ni2 0.8963 0.5491 0.8478
O1 0.3219 0.7168 0.8958
O2 0.4858 0.2730 0.8139
O3 0.8593 0.2639 0.9968
O4 0.9120 0.7182 0.5452
O5 0.5751 0.7877 0.3079
O6 0.0641 0.2909 0.4025
Ti1 0.6499 0.9527 0.7133
Ti2 0.2345 0.5141 0.1690
Mg1 0.6320 0.2042 0.3810

---

DFT (PBE with a Hubbard U) results for an optimized crystal structure of Li6V3P8O29.

Computed properties:
The calculation puts the relative energy among the computed polymorphs at 11 kJ/mol of formula units. The formation energy from the elements comes out at -256.7 kJ per mole of atoms.

Cell lengths 9.7872, 9.8270, 13.9978 Å; angles 90.00, 90.50, 119.63 degrees
Element x y z (fractional)
Li1 0.7681 0.6783 0.4352
Li2 0.1013 0.7675 0.5562
Li3 0.2363 0.3382 0.5609
Li4 0.0262 0.0447 0.4910
Li5 0.6694 0.9016 0.5568
Li6 0.9187 0.6930 0.9382
Li7 0.6779 0.7726 0.0600
Li8 0.2249 0.9105 0.0640
Li9 0.7789 0.0869 0.9402
Li10 0.0948 0.3269 0.0620
Li11 0.6544 0.3244 0.1123
Li12 0.6589 0.3216 0.6098
O1 0.6237 0.5142 0.6689
O2 0.5319 0.9118 0.3348
O3 0.8959 0.3711 0.6666
O4 0.5186 0.6222 0.8263
O5 0.0840 0.6166 0.3309
O6 0.7659 0.7642 0.5699
O7 0.2169 0.0152 0.7601
O8 0.5171 0.1891 0.3283
O9 0.2006 0.9881 0.5799
O10 0.3386 0.6797 0.0236
O11 0.6720 0.1871 0.8317
O12 0.1827 0.5207 0.1665
O13 0.7418 0.6590 0.1529
O14 0.7389 0.0790 0.6573
O15 0.7616 0.7608 0.9317
O16 0.6670 0.7467 0.3351
O17 0.4816 0.6634 0.1709
O18 0.4829 0.3694 0.1745
O19 0.3837 0.9046 0.8203
O20 0.6692 0.3370 0.9777
O21 0.6688 0.3396 0.4774
O22 0.4709 0.0998 0.6682
O23 0.3869 0.4699 0.3335
O24 0.5240 0.3386 0.8251
O25 0.9183 0.6587 0.6583
O26 0.2173 0.2025 0.2582
O27 0.6243 0.1123 0.1736
O28 0.9982 0.7768 0.4301
O29 0.4908 0.8119 0.6667
O30 0.7810 0.9886 0.4338
O31 0.3390 0.8203 0.1755
O32 0.2156 0.2332 0.4375
O33 0.9993 0.2523 0.9356
O34 0.0850 0.7498 0.8355
O35 0.0070 0.2119 0.5805
O36 0.7544 0.9972 0.0704
O37 0.0950 0.4767 0.8191
O38 0.0914 0.3447 0.3297
O39 0.9804 0.1999 0.7596
O40 0.3326 0.5145 0.6701
O41 0.6739 0.4880 0.3306
O42 0.2430 0.9877 0.9389
O43 0.0014 0.7529 0.0694
O44 0.2270 0.2418 0.0777
O45 0.8096 0.3257 0.3276
O46 0.7919 0.0043 0.2506
O47 0.9179 0.2543 0.1569
O48 0.7897 0.7824 0.7511
O49 0.8194 0.4883 0.8333
O50 0.1904 0.6736 0.6640
O51 0.8870 0.5109 0.1741
O52 0.2497 0.9133 0.3382
O53 0.9914 0.7850 0.2487
O54 0.3323 0.0786 0.1580
O55 0.3400 0.6599 0.5199
O56 0.3311 0.2541 0.6577
O57 0.2487 0.3361 0.8383
O58 0.6706 0.9201 0.8384
P1 0.0852 0.7722 0.3419
P2 0.6710 0.3364 0.8707
P3 0.9100 0.2213 0.6595
P4 0.7691 0.6777 0.6580
P5 0.6894 0.9134 0.3438
P6 0.3320 0.6702 0.1298
P7 0.6797 0.7669 0.8415
P8 0.9072 0.6761 0.1573
P9 0.2314 0.3151 0.3445
P10 0.3057 0.0863 0.6598
P11 0.0860 0.3168 0.8439
P12 0.7690 0.0905 0.1594
P13 0.3133 0.2251 0.1601
P14 0.3376 0.6667 0.6262
P15 0.2334 0.9150 0.8448
P16 0.6694 0.3347 0.3705
V1 0.0049 0.5684 0.7489
V2 0.9996 0.4311 0.2529
V3 0.4346 0.0029 0.2569
V4 0.4308 0.4311 0.7530
V5 0.5644 0.9972 0.7494
V6 0.5617 0.5615 0.2488

---

DFT (PBE with a Hubbard U) results for an optimized crystal structure of Fe7Si8O24.

Computed properties:
The formation energy from the elements comes out at -250.3 kJ per mole of atoms.

Cell lengths 10.4365, 10.4365, 5.3692 Å; angles 84.12, 84.12, 124.37 degrees
Element x y z (fractional)
O1 0.0993 0.0993 0.2784
O2 0.2319 0.4685 0.4443
O3 0.4816 0.2183 0.9354
O4 0.7681 0.5315 0.5557
O5 0.1375 0.6236 0.2339
O6 0.2024 0.0313 0.7945
O7 0.9528 0.2950 0.2908
O8 0.7817 0.5184 0.0646
O9 0.5315 0.7681 0.5557
O10 0.9007 0.9007 0.7216
O11 0.6541 0.6541 0.2734
O12 0.7976 0.9687 0.2055
O13 0.4685 0.2319 0.4443
O14 0.8625 0.3764 0.7661
O15 0.9687 0.7976 0.2055
O16 0.0472 0.7050 0.7092
O17 0.7050 0.0472 0.7092
O18 0.3764 0.8625 0.7661
O19 0.2950 0.9528 0.2908
O20 0.2183 0.4816 0.9354
O21 0.6236 0.1375 0.2339
O22 0.0313 0.2024 0.7945
O23 0.5184 0.7817 0.0646
O24 0.3459 0.3459 0.7266
Si1 0.4639 0.1302 0.2222
Si2 0.2072 0.3730 0.7269
Si3 0.5361 0.8698 0.7778
Si4 0.1302 0.4639 0.2222
Si5 0.8698 0.5361 0.7778
Si6 0.7928 0.6270 0.2731
Si7 0.6270 0.7928 0.2731
Si8 0.3730 0.2072 0.7269
Fe1 0.7420 0.2580 0.5000
Fe2 0.2580 0.7420 0.5000
Fe3 0.9198 0.0802 0.5000
Fe4 0.0000 0.0000 0.0000
Fe5 0.1787 0.8213 0.0000
Fe6 0.8213 0.1787 0.0000
Fe7 0.0802 0.9198 0.5000